Record 1
# Li2SnGe, relaxed, DFT PBE
# Calculated volume   20.4 Å³/atom
# Magnetic moment   0.0 μB/f.u.
# Energy of formation from the pure elements   -0.15 eV/atom
# Space group   F-43m, No. 216
data_Li2SnGe
_chemical_formula_sum 'Li2 Sn1 Ge1'
_cell_length_a 4.8721
_cell_length_b 4.8721
_cell_length_c 4.8721
_cell_angle_alpha 60.00
_cell_angle_beta 60.00
_cell_angle_gamma 60.00
_symmetry_space_group_name_H-M 'P 1'
_symmetry_Int_Tables_number 1
loop_
_symmetry_equiv_pos_as_xyz
'x,y,z'
loop_
_atom_site_label
_atom_site_type_symbol
_atom_site_fract_x
_atom_site_fract_y
_atom_site_fract_z
_atom_site_occupancy
Li1 Li 0.0000 0.0000 0.0000 1
Li2 Li 0.2500 0.2500 0.2500 1
Sn1 Sn 0.7500 0.7500 0.7500 1
Ge1 Ge 0.5000 0.5000 0.5000 1

***

Record 2
# CsRe3Se4Br2, relaxed, DFT PBE
# Calculated volume   30.3 Å³/atom
# Magnetic moment   0.0 μB/f.u.
# Energy of formation from the pure elements   -0.85 eV/atom
# Space group   P2_1/c, No. 14
data_CsRe3Se4Br2
_chemical_formula_sum 'Cs4 Re12 Se16 Br8'
_cell_length_a 6.6826
_cell_length_b 19.3472
_cell_length_c 10.3349
_cell_angle_alpha 90.00
_cell_angle_beta 115.01
_cell_angle_gamma 90.00
_symmetry_space_group_name_H-M 'P 1'
_symmetry_Int_Tables_number 1
loop_
_symmetry_equiv_pos_as_xyz
'x,y,z'
loop_
_atom_site_label
_atom_site_type_symbol
_atom_site_fract_x
_atom_site_fract_y
_atom_site_fract_z
_atom_site_occupancy
Cs1 Cs 0.0425 0.1901 0.0477 1
Cs2 Cs 0.0425 0.3099 0.5477 1
Cs3 Cs 0.9575 0.6901 0.4523 1
Cs4 Cs 0.9575 0.8099 0.9523 1
Re1 Re 0.1409 0.5785 0.1083 1
Re2 Re 0.1409 0.9215 0.6083 1
Re3 Re 0.1714 0.0591 0.6517 1
Re4 Re 0.1714 0.4409 0.1517 1
Re5 Re 0.2141 0.0047 0.4296 1
Re6 Re 0.2141 0.4953 0.9296 1
Re7 Re 0.7859 0.5047 0.0704 1
Re8 Re 0.7859 0.9953 0.5704 1
Re9 Re 0.8286 0.5591 0.8483 1
Re10 Re 0.8286 0.9409 0.3483 1
Re11 Re 0.8591 0.0785 0.3917 1
Re12 Re 0.8591 0.4215 0.8917 1
Se1 Se 0.0953 0.5227 0.3190 1
Se2 Se 0.0953 0.9773 0.8190 1
Se3 Se 0.1787 0.6250 0.8887 1
Se4 Se 0.1787 0.8750 0.3887 1
Se5 Se 0.2369 0.1344 0.4708 1
Se6 Se 0.2369 0.3656 0.9708 1
Se7 Se 0.4891 0.0149 0.3031 1
Se8 Se 0.4891 0.4851 0.8031 1
Se9 Se 0.5109 0.5149 0.1969 1
Se10 Se 0.5109 0.9851 0.6969 1
Se11 Se 0.7631 0.6344 0.0292 1
Se12 Se 0.7631 0.8656 0.5292 1
Se13 Se 0.8213 0.1250 0.6113 1
Se14 Se 0.8213 0.3750 0.1113 1
Se15 Se 0.9047 0.0227 0.1810 1
Se16 Se 0.9047 0.4773 0.6810 1
Br1 Br 0.3213 0.6909 0.2497 1
Br2 Br 0.3213 0.8091 0.7497 1
Br3 Br 0.3986 0.1423 0.8587 1
Br4 Br 0.3986 0.3577 0.3587 1
Br5 Br 0.6014 0.6423 0.6413 1
Br6 Br 0.6014 0.8577 0.1413 1
Br7 Br 0.6787 0.1909 0.2503 1
Br8 Br 0.6787 0.3091 0.7503 1

***

Record 3
# EuNiGe2, relaxed, DFT PBE
# Calculated volume   19.2 Å³/atom
# Magnetic moment   6.8 μB/f.u.
# Energy of formation from the pure elements   -0.61 eV/atom
# Space group   Cmcm, No. 63
data_EuNiGe2
_chemical_formula_sum 'Eu2 Ni2 Ge4'
_cell_length_a 8.7603
_cell_length_b 8.7603
_cell_length_c 4.1850
_cell_angle_alpha 90.00
_cell_angle_beta 90.00
_cell_angle_gamma 151.49
_symmetry_space_group_name_H-M 'P 1'
_symmetry_Int_Tables_number 1
loop_
_symmetry_equiv_pos_as_xyz
'x,y,z'
loop_
_atom_site_label
_atom_site_type_symbol
_atom_site_fract_x
_atom_site_fract_y
_atom_site_fract_z
_atom_site_occupancy
Eu1 Eu 0.1079 0.8921 0.7500 1
Eu2 Eu 0.8921 0.1079 0.2500 1
Ni1 Ni 0.3190 0.6810 0.7500 1
Ni2 Ni 0.6810 0.3190 0.2500 1
Ge1 Ge 0.2496 0.7504 0.2500 1
Ge2 Ge 0.4563 0.5437 0.7500 1
Ge3 Ge 0.5437 0.4563 0.2500 1
Ge4 Ge 0.7504 0.2496 0.7500 1

***

Record 4
# MgSi, relaxed, DFT PBE
# Calculated volume   19.0 Å³/atom
# Magnetic moment   0.0 μB/f.u.
# Energy of formation from the pure elements   0.02 eV/atom
# Space group   P-1, No. 2
data_MgSi
_chemical_formula_sum 'Mg6 Si6'
_cell_length_a 4.3852
_cell_length_b 6.3122
_cell_length_c 8.9570
_cell_angle_alpha 75.97
_cell_angle_beta 88.28
_cell_angle_gamma 71.60
_symmetry_space_group_name_H-M 'P 1'
_symmetry_Int_Tables_number 1
loop_
_symmetry_equiv_pos_as_xyz
'x,y,z'
loop_
_atom_site_label
_atom_site_type_symbol
_atom_site_fract_x
_atom_site_fract_y
_atom_site_fract_z
_atom_site_occupancy
Mg1 Mg 0.0502 0.4271 0.3312 1
Mg2 Mg 0.1698 0.2154 0.0071 1
Mg3 Mg 0.2537 0.0114 0.6677 1
Mg4 Mg 0.7463 0.9886 0.3323 1
Mg5 Mg 0.8302 0.7846 0.9929 1
Mg6 Mg 0.9498 0.5729 0.6688 1
Si1 Si 0.3179 0.7849 0.1978 1
Si2 Si 0.3890 0.7097 0.4724 1
Si3 Si 0.4257 0.5797 0.8669 1
Si4 Si 0.5743 0.4203 0.1331 1
Si5 Si 0.6110 0.2903 0.5276 1
Si6 Si 0.6821 0.2151 0.8022 1

***

Record 5
# Ca2InPb, relaxed, DFT PBE
# Calculated volume   29.6 Å³/atom
# Energy of formation from the pure elements   -0.49 eV/atom
# Space group   Fm-3m, No. 225
data_Ca2InPb
_chemical_formula_sum 'Ca2 In1 Pb1'
_cell_length_a 5.5129
_cell_length_b 5.5129
_cell_length_c 5.5129
_cell_angle_alpha 60.00
_cell_angle_beta 60.00
_cell_angle_gamma 60.00
_symmetry_space_group_name_H-M 'P 1'
_symmetry_Int_Tables_number 1
loop_
_symmetry_equiv_pos_as_xyz
'x,y,z'
loop_
_atom_site_label
_atom_site_type_symbol
_atom_site_fract_x
_atom_site_fract_y
_atom_site_fract_z
_atom_site_occupancy
Ca1 Ca 0.2500 0.2500 0.2500 1
Ca2 Ca 0.7500 0.7500 0.7500 1
In1 In 0.0000 0.0000 0.0000 1
Pb1 Pb 0.5000 0.5000 0.5000 1

***

Record 6
# NaSrMg14, relaxed, DFT PBE
# Calculated volume   25.2 Å³/atom
# Magnetic moment   0.0 μB/f.u.
# Energy of formation from the pure elements   0.06 eV/atom
# Space group   Amm2, No. 38
data_NaSrMg14
_chemical_formula_sum 'Na1 Sr1 Mg14'
_cell_length_a 10.7001
_cell_length_b 6.6432
_cell_length_c 6.6432
_cell_angle_alpha 58.55
_cell_angle_beta 90.00
_cell_angle_gamma 90.00
_symmetry_space_group_name_H-M 'P 1'
_symmetry_Int_Tables_number 1
loop_
_symmetry_equiv_pos_as_xyz
'x,y,z'
loop_
_atom_site_label
_atom_site_type_symbol
_atom_site_fract_x
_atom_site_fract_y
_atom_site_fract_z
_atom_site_occupancy
Na1 Na 0.0000 0.0000 0.0000 1
Sr1 Sr 0.0000 0.5021 0.5021 1
Mg1 Mg 0.0000 0.5076 0.9984 1
Mg2 Mg 0.0000 0.9984 0.5076 1
Mg3 Mg 0.2503 0.1692 0.1692 1
Mg4 Mg 0.2592 0.6715 0.6715 1
Mg5 Mg 0.2652 0.1616 0.6663 1
Mg6 Mg 0.2652 0.6663 0.1616 1
Mg7 Mg 0.5000 0.0014 0.5002 1
Mg8 Mg 0.5000 0.0019 0.0019 1
Mg9 Mg 0.5000 0.5002 0.0014 1
Mg10 Mg 0.5000 0.5018 0.5018 1
Mg11 Mg 0.7348 0.1616 0.6663 1
Mg12 Mg 0.7348 0.6663 0.1616 1
Mg13 Mg 0.7408 0.6715 0.6715 1
Mg14 Mg 0.7497 0.1692 0.1692 1

***

Record 7
# SmAl3Ni2, relaxed, DFT PBE
# Calculated volume   16.4 Å³/atom
# Energy of formation from the pure elements   -0.64 eV/atom
# Space group   P6/mmm, No. 191
data_SmAl3Ni2
_chemical_formula_sum 'Sm3 Al9 Ni6'
_cell_length_a 9.1457
_cell_length_b 9.1457
_cell_length_c 4.0826
_cell_angle_alpha 90.00
_cell_angle_beta 90.00
_cell_angle_gamma 120.00
_symmetry_space_group_name_H-M 'P 1'
_symmetry_Int_Tables_number 1
loop_
_symmetry_equiv_pos_as_xyz
'x,y,z'
loop_
_atom_site_label
_atom_site_type_symbol
_atom_site_fract_x
_atom_site_fract_y
_atom_site_fract_z
_atom_site_occupancy
Sm1 Sm 0.0000 0.0000 0.0000 1
Sm2 Sm 0.3333 0.6667 0.5000 1
Sm3 Sm 0.6667 0.3333 0.5000 1
Al1 Al 0.0000 0.2966 0.5000 1
Al2 Al 0.0000 0.5000 0.0000 1
Al3 Al 0.0000 0.7034 0.5000 1
Al4 Al 0.2966 0.0000 0.5000 1
Al5 Al 0.2966 0.2966 0.5000 1
Al6 Al 0.5000 0.0000 0.0000 1
Al7 Al 0.5000 0.5000 0.0000 1
Al8 Al 0.7034 0.0000 0.5000 1
Al9 Al 0.7034 0.7034 0.5000 1
Ni1 Ni 0.1814 0.3628 0.0000 1
Ni2 Ni 0.1814 0.8186 0.0000 1
Ni3 Ni 0.3628 0.1814 0.0000 1
Ni4 Ni 0.6372 0.8186 0.0000 1
Ni5 Ni 0.8186 0.1814 0.0000 1
Ni6 Ni 0.8186 0.6372 0.0000 1

***

> Which formula does entry 3 have?

EuNiGe2

***

> Which of these has the lowest calculated volume?

SmAl3Ni2